Record 1
{"formula": "NaNbIn3P3S3O24", "functional": "PBE", "state": "relaxed", "lattice": [[8.8712, -0.0014, -0.0052], [-4.4368, 7.6515, -0.0278], [-0.0129, -0.0884, 23.2132]], "species": ["O", "O", "O", "O", "O", "P", "O", "O", "Nb", "S", "In", "P", "O", "In", "O", "P", "O", "P", "O", "O", "O", "In", "In", "S", "O", "O", "O", "O", "Na", "P", "O", "O", "O", "O", "O", "O", "In", "O", "S", "O", "S", "In", "O", "O", "O", "P", "O", "O", "P", "O", "O", "O", "O", "O", "S", "O", "O", "Na", "O", "O", "O", "O", "In", "O", "P", "O", "O", "O", "S", "In", "O", "O", "Nb", "Na", "O", "O", "O", "S", "O", "O", "O", "O", "O", "O", "O", "O", "S", "P", "O", "S", "O", "Nb", "O", "O", "O", "O", "O", "O", "In", "O", "O", "O", "O", "O", "O"], "frac_coords": [[0.1645, 0.1985, 0.4128], [0.0193, 0.1878, 0.9136], [0.1231, 0.6298, 0.0824], [0.8273, 0.7781, 0.3052], [0.4665, 0.3041, 0.7425], [0.7131, 0.7081, 0.2503], [0.9679, 0.7923, 0.8047], [0.1458, 0.4569, 0.9721], [0.0022, 0.9936, 0.6452], [0.7081, 0.0005, 0.7494], [0.3187, 0.6617, 0.8111], [0.6665, 0.0400, 0.0816], [0.8930, 0.3802, 0.6360], [0.6684, 0.3286, 0.9805], [0.8271, 0.0200, 0.0897], [0.9955, 0.7085, 0.7511], [0.8045, 0.8223, 0.9129], [0.0390, 0.3733, 0.9169], [0.4547, 0.2999, 0.0282], [0.6915, 0.5193, 0.2387], [0.7957, 0.8162, 0.1969], [0.9994, 0.0039, 0.8528], [0.3429, 0.6638, 0.3127], [0.9941, 0.2957, 0.2505], [0.9886, 0.1745, 0.5981], [0.6854, 0.1546, 0.7430], [0.5303, 0.6800, 0.2567], [0.8325, 0.5270, 0.7438], [0.6844, 0.3430, 0.8344], [0.9566, 0.3276, 0.5834], [0.1440, 0.4874, 0.5691], [0.8027, 0.9861, 0.6979], [0.0354, 0.8249, 0.4146], [0.1201, 0.4759, 0.8612], [0.7031, 0.1534, 0.0288], [0.3150, 0.8588, 0.9691], [0.6633, 0.3337, 0.4864], [0.1526, 0.6789, 0.4683], [0.6261, 0.6662, 0.9157], [0.3213, 0.4774, 0.4698], [0.6203, 0.9582, 0.4175], [0.9956, 0.0029, 0.1488], [0.6167, 0.5119, 0.6359], [0.2275, 0.0445, 0.3020], [0.6541, 0.1470, 0.1365], [0.3710, 0.3277, 0.0811], [0.4873, 0.1382, 0.9191], [0.2177, 0.1879, 0.8018], [0.3751, 0.0381, 0.5833], [0.1728, 0.9738, 0.9130], [0.8138, 0.0342, 0.8022], [0.3437, 0.8519, 0.5681], [0.5486, 0.6920, 0.9685], [0.5102, 0.6572, 0.5692], [0.9566, 0.6252, 0.0837], [0.4774, 0.1623, 0.2418], [0.8552, 0.3548, 0.9194], [0.0009, 0.0179, 0.9997], [0.1669, 0.7072, 0.7513], [0.8340, 0.3112, 0.2413], [0.8605, 0.5146, 0.1360], [0.1421, 0.4733, 0.2578], [0.6712, 0.3377, 0.6810], [0.4990, 0.3559, 0.4232], [0.6663, 0.6267, 0.5833], [0.5263, 0.8498, 0.4685], [0.5403, 0.8366, 0.7533], [0.4399, 0.1527, 0.5305], [0.3326, 0.9591, 0.9167], [0.3346, 0.6600, 0.0232], [0.3066, 0.4614, 0.7514], [0.5165, 0.8858, 0.3642], [0.6594, 0.3325, 0.1827], [0.6632, 0.3422, 0.3373], [0.1950, 0.1623, 0.0910], [0.4888, 0.1068, 0.6367], [0.7887, 0.9633, 0.4141], [0.2964, 0.0022, 0.2502], [0.7161, 0.5630, 0.5299], [0.4942, 0.8686, 0.0800], [0.3191, 0.8508, 0.2579], [0.6448, 0.1360, 0.4234], [0.0080, 0.8257, 0.6969], [0.9577, 0.1857, 0.3022], [0.9779, 0.8001, 0.0912], [0.1237, 0.6404, 0.3635], [0.2942, 0.2897, 0.7491], [0.3361, 0.3735, 0.4156], [0.3661, 0.4963, 0.0819], [0.0448, 0.6634, 0.4163], [0.8222, 0.8138, 0.5973], [0.3296, 0.6556, 0.5222], [0.4916, 0.3461, 0.1367], [0.3655, 0.4839, 0.3622], [0.1820, 0.1956, 0.6975], [0.8701, 0.5054, 0.4219], [0.6414, 0.5063, 0.9196], [0.8512, 0.5513, 0.0315], [0.9982, 0.9985, 0.3556], [0.0276, 0.2207, 0.1989], [0.1929, 0.9767, 0.1980], [0.8444, 0.2836, 0.5295], [0.5251, 0.6473, 0.8627], [0.1883, 0.0094, 0.5977], [0.3574, 0.8803, 0.8637]], "spacegroup": "No. 1", "e_tot_ev_per_atom": -6.618, "m_tot_mub_per_fu": 0.00, "formation_energy_ev_per_atom": -2.3150}



Record 2
{"formula": "AsS7IF6", "functional": "PBE", "state": "relaxed", "lattice": [[11.9301, 0.0000, 0.0000], [3.6475, 11.6919, 0.0000], [4.1190, 3.1240, 15.0679]], "species": ["S", "S", "F", "S", "F", "F", "S", "S", "F", "S", "F", "S", "S", "S", "I", "S", "S", "F", "F", "F", "S", "S", "F", "S", "S", "S", "S", "As", "As", "S", "S", "F", "I", "S", "As", "S", "S", "S", "S", "F", "S", "S", "S", "F", "S", "F", "S", "S", "F", "S", "F", "F", "S", "F", "S", "F", "F", "F", "S", "F", "F", "F", "F", "F", "S", "F", "I", "I", "I", "As", "F", "F", "F", "F", "S", "F", "S", "S", "S", "F", "S", "F", "F", "S", "F", "S", "F", "I", "As", "As"], "frac_coords": [[0.7429, 0.8940, 0.8763], [0.9449, 0.0433, 0.7132], [0.2854, 0.9843, 0.3515], [0.1628, 0.2256, 0.7266], [0.3883, 0.7964, 0.2977], [0.6569, 0.2032, 0.5390], [0.7648, 0.5649, 0.0954], [0.2571, 0.1060, 0.1237], [0.7308, 0.2704, 0.0925], [0.0235, 0.7044, 0.2837], [0.5937, 0.3188, 0.9851], [0.9395, 0.6154, 0.0744], [0.3456, 0.2544, 0.4384], [0.9779, 0.3024, 0.5917], [0.4266, 0.1588, 0.8961], [0.0551, 0.9567, 0.2868], [0.4829, 0.4461, 0.1851], [0.4499, 0.9546, 0.4324], [0.8645, 0.4908, 0.2804], [0.4063, 0.6812, 0.0149], [0.8328, 0.9249, 0.1856], [0.1263, 0.1305, 0.0581], [0.4441, 0.2311, 0.6240], [0.4699, 0.2576, 0.2285], [0.1445, 0.9515, 0.7537], [0.0314, 0.3129, 0.0521], [0.7241, 0.6014, 0.9817], [0.9391, 0.3464, 0.3293], [0.0609, 0.6536, 0.6707], [0.0295, 0.8819, 0.4083], [0.9705, 0.1181, 0.5917], [0.5559, 0.7689, 0.3760], [0.5734, 0.8412, 0.1039], [0.3356, 0.5362, 0.2396], [0.2606, 0.7735, 0.0077], [0.5171, 0.5539, 0.8149], [0.0605, 0.3846, 0.9256], [0.6868, 0.7345, 0.6912], [0.1672, 0.0751, 0.8144], [0.0025, 0.4066, 0.3902], [0.3880, 0.1902, 0.0419], [0.2352, 0.4351, 0.9046], [0.3621, 0.5332, 0.3892], [0.3431, 0.7968, 0.4610], [0.8737, 0.8695, 0.9419], [0.9912, 0.7959, 0.6201], [0.9765, 0.2956, 0.7163], [0.6544, 0.7456, 0.5616], [0.5501, 0.0454, 0.5676], [0.3132, 0.2655, 0.3088], [0.9975, 0.5934, 0.6098], [0.1285, 0.7116, 0.7308], [0.6644, 0.4638, 0.7604], [0.0088, 0.2041, 0.3799], [0.9686, 0.6871, 0.9479], [0.1964, 0.6556, 0.0709], [0.2531, 0.8177, 0.1068], [0.8036, 0.3444, 0.9291], [0.0221, 0.6976, 0.4083], [0.9371, 0.6501, 0.7598], [0.6117, 0.2036, 0.7023], [0.0629, 0.3499, 0.2402], [0.1355, 0.5092, 0.7196], [0.8715, 0.2884, 0.2692], [0.8372, 0.7744, 0.2734], [0.1154, 0.8651, 0.9987], [0.7353, 0.0373, 0.3895], [0.5696, 0.4470, 0.3758], [0.4304, 0.5530, 0.6242], [0.4197, 0.8753, 0.3645], [0.8846, 0.1349, 0.0013], [0.2692, 0.7296, 0.9075], [0.4973, 0.9544, 0.2668], [0.3257, 0.8904, 0.9446], [0.6379, 0.4668, 0.6108], [0.1893, 0.6552, 0.5823], [0.5301, 0.7424, 0.7715], [0.6120, 0.8098, 0.9581], [0.2641, 0.4114, 0.4682], [0.6743, 0.1096, 0.0554], [0.7359, 0.5886, 0.5318], [0.7146, 0.0157, 0.6485], [0.5027, 0.0456, 0.7332], [0.8555, 0.0485, 0.2463], [0.7469, 0.1823, 0.8932], [0.2759, 0.3986, 0.0183], [0.8107, 0.3448, 0.4177], [0.2647, 0.9627, 0.6105], [0.7394, 0.2265, 0.9923], [0.5803, 0.1247, 0.6355]], "spacegroup": "No. 2", "e_tot_ev_per_atom": -4.090, "m_tot_mub_per_fu": 0.00, "formation_energy_ev_per_atom": -1.1659}



Record 3
{"formula": "RbHgC2N2ClO", "functional": "PBE", "state": "relaxed", "lattice": [[-1.4119, 7.0679, -5.9084], [-3.1104, -5.3862, 6.9406], [4.2783, 6.9956, 7.3462]], "species": ["O", "Hg", "Cl", "N", "C", "N", "N", "Rb", "N", "C", "Cl", "C", "Rb", "Hg", "O", "C"], "frac_coords": [[0.6744, 0.3256, 0.2500], [0.0000, 0.0000, 0.5000], [0.9470, 0.0530, 0.2500], [0.8225, 0.1775, 0.9649], [0.8873, 0.1127, 0.5259], [0.1775, 0.8225, 0.0351], [0.8225, 0.1775, 0.5351], [0.2764, 0.7236, 0.2500], [0.1775, 0.8225, 0.4649], [0.1127, 0.8873, 0.0259], [0.0530, 0.9470, 0.7500], [0.1127, 0.8873, 0.4741], [0.7236, 0.2764, 0.7500], [0.0000, 0.0000, 0.0000], [0.3256, 0.6744, 0.7500], [0.8873, 0.1127, 0.9741]], "spacegroup": "No. 63", "e_tot_ev_per_atom": -5.118, "m_tot_mub_per_fu": 1.86, "formation_energy_ev_per_atom": 0.1980}



Record 4
{"formula": "GdBC", "functional": "PBE", "state": "relaxed", "lattice": [[2.7321, 2.0317, -0.0279], [-1.0081, 1.3125, -3.1383], [-5.6112, 4.7447, 3.7868]], "species": ["B", "Gd", "Gd", "B", "C", "C"], "frac_coords": [[0.7196, 0.5000, 0.4393], [0.1362, 0.0000, 0.2725], [0.8638, 0.0000, 0.7275], [0.2804, 0.5000, 0.5607], [0.6270, 0.5000, 0.2540], [0.3730, 0.5000, 0.7460]], "spacegroup": "No. 65", "e_tot_ev_per_atom": -9.987, "m_tot_mub_per_fu": 6.97, "formation_energy_ev_per_atom": 0.0074}



Record 5
{"formula": "K3Hg", "functional": "PBE", "state": "relaxed", "lattice": [[-4.5362, -1.2266, -4.6482], [-5.4059, 3.7797, -0.4212], [-0.7343, 4.1627, -5.0813]], "species": ["K", "K", "K", "Hg"], "frac_coords": [[0.7500, 0.7500, 0.7500], [0.5000, 0.5000, 0.5000], [0.2500, 0.2500, 0.2500], [0.0000, 0.0000, 0.0000]], "spacegroup": "No. 225", "e_tot_ev_per_atom": -0.969, "formation_energy_ev_per_atom": -0.0607}



Record 6
{"formula": "CsCa2Nb3O10", "functional": "PBE", "state": "relaxed", "lattice": [[7.8252, 0.0000, 0.0000], [0.0000, 7.8345, 0.0000], [0.0000, 0.0000, 31.0314]], "species": ["O", "O", "Nb", "Nb", "O", "O", "Ca", "O", "Nb", "O", "Cs", "O", "Ca", "O", "Nb", "Ca", "O", "Ca", "Cs", "Ca", "Ca", "O", "O", "O", "Nb", "Ca", "O", "Cs", "O", "O", "Nb", "Cs", "O", "O", "O", "O", "O", "O", "O", "O", "Nb", "O", "Nb", "Nb", "Ca", "O", "Nb", "O", "Nb", "Cs", "Nb", "Ca", "O", "O", "O", "Nb", "O", "O", "Cs", "O", "Nb", "O", "O", "O", "Nb", "O", "O", "O", "Ca", "O", "Nb", "O", "O", "Ca", "O", "O", "O", "Nb", "O", "O", "O", "O", "O", "Cs", "O", "Cs", "O", "O", "Nb", "Ca", "O", "O", "O", "O", "O", "O", "O", "O", "Ca", "Ca", "O", "O", "Ca", "O", "O", "O", "Nb", "O", "Nb", "Nb", "O", "Nb", "O", "O", "Ca", "O", "O", "O", "O", "O", "O", "O", "Nb", "O", "Nb", "O", "O", "O"], "frac_coords": [[0.5475, 0.4525, 0.0611], [0.2502, 0.4398, 0.5111], [0.0000, 0.5000, 0.0000], [0.0033, 0.0041, 0.3605], [0.4846, 0.2500, 0.1336], [0.2502, 0.0602, 0.5111], [0.7160, 0.7500, 0.9267], [0.4688, 0.4521, 0.4383], [0.5000, 0.5000, 0.5000], [0.5154, 0.7500, 0.8664], [0.2534, 0.7500, 0.2548], [0.9688, 0.9521, 0.0617], [0.2620, 0.7500, 0.4242], [0.7430, 0.0170, 0.6331], [0.9889, 0.9971, 0.8606], [0.7761, 0.2500, 0.9305], [0.4655, 0.4734, 0.6967], [0.2380, 0.7500, 0.9242], [0.7626, 0.7500, 0.2458], [0.2239, 0.7500, 0.0695], [0.2160, 0.2500, 0.5733], [0.2570, 0.9830, 0.3669], [0.4287, 0.7500, 0.4909], [0.7426, 0.4889, 0.8829], [0.0000, 0.0000, 0.5000], [0.7239, 0.2500, 0.4305], [0.7570, 0.4830, 0.1331], [0.2466, 0.7500, 0.7548], [0.4967, 0.7500, 0.6345], [0.4525, 0.5475, 0.9389], [0.4889, 0.0029, 0.6394], [0.7534, 0.2500, 0.2452], [0.0345, 0.4734, 0.1967], [0.5173, 0.0268, 0.8032], [0.9827, 0.4732, 0.3032], [0.5423, 0.2500, 0.9833], [0.4827, 0.9732, 0.1968], [0.4827, 0.5268, 0.1968], [0.9822, 0.7500, 0.6186], [0.0219, 0.2500, 0.1172], [0.9889, 0.5029, 0.8606], [0.5033, 0.2500, 0.3655], [0.5111, 0.5029, 0.3606], [0.5033, 0.5041, 0.1395], [0.2574, 0.2500, 0.9318], [0.7430, 0.4830, 0.6331], [0.5000, 0.5000, 0.0000], [0.0312, 0.0479, 0.9383], [0.9967, 0.5041, 0.6395], [0.2626, 0.2500, 0.2542], [0.0000, 0.5000, 0.5000], [0.2840, 0.2500, 0.0733], [0.7574, 0.4889, 0.3829], [0.0173, 0.5268, 0.6968], [0.5345, 0.9734, 0.3033], [0.5000, 0.0000, 0.0000], [0.0713, 0.7500, 0.9909], [0.4577, 0.7500, 0.0167], [0.7466, 0.2500, 0.7452], [0.2570, 0.5170, 0.3669], [0.0111, 0.0029, 0.1394], [0.9525, 0.4525, 0.5611], [0.5173, 0.4732, 0.8032], [0.0475, 0.5475, 0.4389], [0.4889, 0.4971, 0.6394], [0.0178, 0.2500, 0.3814], [0.7502, 0.9398, 0.9889], [0.0345, 0.0266, 0.1967], [0.7380, 0.2500, 0.5758], [0.9525, 0.0475, 0.5611], [0.0000, 0.0000, 0.0000], [0.2430, 0.5170, 0.8669], [0.2430, 0.9830, 0.8669], [0.2761, 0.7500, 0.5695], [0.7498, 0.5602, 0.4889], [0.2574, 0.5111, 0.1171], [0.0423, 0.7500, 0.5167], [0.0111, 0.4971, 0.1394], [0.5475, 0.0475, 0.0611], [0.9287, 0.2500, 0.0091], [0.5312, 0.9521, 0.5617], [0.0154, 0.2500, 0.6336], [0.2426, 0.5111, 0.6171], [0.7374, 0.7500, 0.7458], [0.9688, 0.5479, 0.0617], [0.2374, 0.2500, 0.7542], [0.2498, 0.0602, 0.0111], [0.5178, 0.7500, 0.1186], [0.5033, 0.9959, 0.1395], [0.2426, 0.2500, 0.4318], [0.7502, 0.5602, 0.9889], [0.9655, 0.5266, 0.8033], [0.4525, 0.9525, 0.9389], [0.4655, 0.0266, 0.6967], [0.2574, 0.9889, 0.1171], [0.7574, 0.0111, 0.3829], [0.5312, 0.5479, 0.5617], [0.9655, 0.9734, 0.8033], [0.7620, 0.2500, 0.0758], [0.7574, 0.7500, 0.5682], [0.2498, 0.4398, 0.0111], [0.9577, 0.2500, 0.4833], [0.7840, 0.7500, 0.4267], [0.5219, 0.7500, 0.3828], [0.9846, 0.7500, 0.3664], [0.7498, 0.9398, 0.4889], [0.9967, 0.9959, 0.6395], [0.7426, 0.0111, 0.8829], [0.5000, 0.0000, 0.5000], [0.4967, 0.4959, 0.8605], [0.9781, 0.7500, 0.8828], [0.4967, 0.0041, 0.8605], [0.4688, 0.0479, 0.4383], [0.7570, 0.0170, 0.1331], [0.7426, 0.7500, 0.0682], [0.9827, 0.0268, 0.3032], [0.0312, 0.4521, 0.9383], [0.0475, 0.9525, 0.4389], [0.5713, 0.2500, 0.5091], [0.5345, 0.5266, 0.3033], [0.4781, 0.2500, 0.6172], [0.9967, 0.2500, 0.8655], [0.0033, 0.4959, 0.3605], [0.0173, 0.9732, 0.6968], [0.5111, 0.9971, 0.3606], [0.4822, 0.2500, 0.8814], [0.2426, 0.9889, 0.6171], [0.0033, 0.7500, 0.1345]], "spacegroup": "No. 62", "e_tot_ev_per_atom": -8.020, "m_tot_mub_per_fu": 0.01, "formation_energy_ev_per_atom": -3.1561}